# 1
Here is Mn2SnPd3 after structural relaxation from the Materials Project. Energies are from PBE-GGA.

Calculated values
The energy is -79.9 eV per cell. For the formation energy from the elements, the calculation gives -346 meV per atom. The value obtained for the calculated volume is 16.16 Å³ per atom.

Unit cell a=4.490 b=4.490 c=11.106 alpha=90.00 beta=90.00 gamma=120.00
Fractional coordinates of all 12 atoms:
Mn  0.000  0.000  0.500
Mn  0.333  0.667  0.161
Mn  0.667  0.333  0.839
Mn  0.000  0.000  0.000
Sn  0.333  0.667  0.669
Sn  0.667  0.333  0.331
Pd  0.333  0.667  0.416
Pd  0.667  0.333  0.078
Pd  0.000  0.000  0.755
Pd  0.000  0.000  0.245
Pd  0.333  0.667  0.922
Pd  0.667  0.333  0.584

---

# 2
Here is Cs3TmO3 after structural relaxation from the Materials Project. Energies are from PBE-GGA.

Calculated values
The energy above the most stable polymorph in this dataset is 9 meV per atom. The energy is -71.1 eV per cell. For the formation energy from the elements, the calculation gives -2228 meV per atom. The value obtained for the calculated volume is 27.43 Å³ per atom.

Unit cell a=7.579 b=7.579 c=7.631 alpha=84.00 beta=84.00 gamma=116.61
Fractional coordinates of all 14 atoms:
Cs  0.641  0.641  0.651
Cs  0.790  0.210  0.500
Cs  0.210  0.790  0.500
Cs  0.738  0.262  0.000
Cs  0.262  0.738  0.000
Cs  0.359  0.359  0.349
Tm  0.830  0.830  0.149
Tm  0.170  0.170  0.851
O  0.900  0.900  0.859
O  0.569  0.836  0.264
O  0.836  0.569  0.264
O  0.164  0.431  0.736
O  0.431  0.164  0.736
O  0.100  0.100  0.141

---

# 3
Here is Te2Mo2WSe4 after structural relaxation from the Materials Project. Energies are from PBE-GGA.

Calculated values
The value obtained for the total moment is 0.0 μB/cell. The energy above the most stable polymorph in this dataset is 27 meV per atom. The energy is -59.0 eV per cell. For the formation energy from the elements, the calculation gives -659 meV per atom. The value obtained for the calculated volume is 35.01 Å³ per atom.

Unit cell a=3.403 b=3.403 c=31.417 alpha=90.00 beta=90.00 gamma=120.00
Fractional coordinates of all 9 atoms:
Te  0.333  0.667  0.060
Te  0.333  0.667  0.940
Mo  0.333  0.667  0.769
Mo  0.333  0.667  0.231
W  0.667  0.333  0.000
Se  0.667  0.333  0.716
Se  0.667  0.333  0.179
Se  0.667  0.333  0.821
Se  0.667  0.333  0.284

---

# 4
Here is MgAl4H12O12 after structural relaxation from the Materials Project. Energies are from PBE-GGA.

Calculated values
The value obtained for the total moment is 0.1 μB/cell. The energy above the most stable polymorph in this dataset is 37 meV per atom. The energy is -165.2 eV per cell. For the formation energy from the elements, the calculation gives -1958 meV per atom. The value obtained for the calculated volume is 9.49 Å³ per atom.

Unit cell a=7.427 b=8.697 c=7.253 alpha=107.53 beta=138.55 gamma=90.29
Fractional coordinates of all 29 atoms:
Mg  0.430  0.689  0.696
Al  0.508  0.832  0.318
Al  0.511  0.093  0.698
Al  0.985  0.693  0.623
Al  0.052  0.285  0.402
H  0.994  0.978  0.599
H  0.841  0.781  0.036
H  0.572  0.447  0.813
H  0.439  0.526  0.115
H  0.931  0.713  0.247
H  0.891  0.404  0.591
H  0.311  0.065  0.212
H  0.739  0.880  0.836
H  0.509  0.933  0.038
H  0.512  0.176  0.032
H  0.991  0.309  0.022
H  0.980  0.733  0.987
O  0.926  0.915  0.640
O  0.209  0.140  0.551
O  0.392  0.448  0.621
O  0.577  0.620  0.326
O  0.005  0.652  0.376
O  0.997  0.448  0.575
O  0.480  0.058  0.403
O  0.547  0.874  0.634
O  0.430  0.815  0.992
O  0.644  0.119  0.073
O  0.881  0.258  0.028
O  0.101  0.717  0.968

---

# 5
Here is RbNa11W4N12 after structural relaxation from the Materials Project. Energies are from PBE-GGA.

Calculated values
The value obtained for the total moment is 0.0 μB/cell. The energy is -719.9 eV per cell. For the formation energy from the elements, the calculation gives -604 meV per atom. The value obtained for the calculated volume is 16.23 Å³ per atom.

Unit cell a=11.766 b=12.267 c=12.593 alpha=90.00 beta=90.00 gamma=90.00
Fractional coordinates of all 112 atoms:
Rb  0.000  0.000  0.500
Rb  0.500  0.000  0.000
Rb  0.500  0.500  0.500
Rb  0.000  0.500  0.000
Na  0.131  0.555  0.764
Na  0.869  0.445  0.236
Na  0.631  0.945  0.764
Na  0.631  0.445  0.736
Na  0.779  0.189  0.328
Na  0.257  0.376  0.594
Na  0.757  0.624  0.906
Na  0.279  0.311  0.328
Na  0.383  0.021  0.731
Na  0.450  0.741  0.622
Na  0.369  0.055  0.236
Na  0.950  0.259  0.878
Na  0.883  0.979  0.769
Na  0.117  0.021  0.231
Na  0.757  0.124  0.594
Na  0.743  0.124  0.094
Na  0.550  0.259  0.378
Na  0.131  0.055  0.736
Na  0.950  0.759  0.622
Na  0.243  0.876  0.406
Na  0.221  0.811  0.672
Na  0.617  0.479  0.231
Na  0.000  0.000  0.000
Na  0.257  0.876  0.906
Na  0.050  0.741  0.122
Na  0.743  0.624  0.406
Na  0.117  0.521  0.269
Na  0.450  0.241  0.878
Na  0.279  0.811  0.172
Na  0.500  0.500  0.000
Na  0.243  0.376  0.094
Na  0.383  0.521  0.769
Na  0.000  0.500  0.500
Na  0.369  0.555  0.264
Na  0.500  0.000  0.500
Na  0.617  0.979  0.269
Na  0.721  0.189  0.828
Na  0.550  0.759  0.122
Na  0.869  0.945  0.264
Na  0.883  0.479  0.731
Na  0.221  0.311  0.828
Na  0.721  0.689  0.672
Na  0.779  0.689  0.172
Na  0.050  0.241  0.378
W  0.990  0.738  0.364
W  0.734  0.383  0.008
W  0.734  0.883  0.492
W  0.010  0.262  0.636
W  0.990  0.238  0.136
W  0.234  0.617  0.492
W  0.490  0.262  0.136
W  0.510  0.738  0.864
W  0.766  0.383  0.508
W  0.510  0.238  0.636
W  0.266  0.617  0.992
W  0.010  0.762  0.864
W  0.490  0.762  0.364
W  0.266  0.117  0.508
W  0.766  0.883  0.992
W  0.234  0.117  0.008
N  0.067  0.343  0.212
N  0.271  0.605  0.632
N  0.271  0.480  0.930
N  0.229  0.105  0.368
N  0.145  0.199  0.574
N  0.855  0.301  0.074
N  0.771  0.895  0.632
N  0.567  0.157  0.212
N  0.056  0.873  0.774
N  0.729  0.895  0.132
N  0.729  0.520  0.070
N  0.944  0.627  0.274
N  0.933  0.657  0.788
N  0.729  0.395  0.368
N  0.914  0.313  0.520
N  0.586  0.813  0.480
N  0.271  0.105  0.868
N  0.067  0.843  0.288
N  0.229  0.480  0.430
N  0.355  0.199  0.074
N  0.229  0.980  0.070
N  0.229  0.605  0.132
N  0.586  0.313  0.020
N  0.914  0.813  0.980
N  0.645  0.301  0.574
N  0.086  0.687  0.480
N  0.271  0.980  0.570
N  0.444  0.373  0.226
N  0.771  0.020  0.930
N  0.145  0.699  0.926
N  0.414  0.687  0.980
N  0.855  0.801  0.426
N  0.086  0.187  0.020
N  0.444  0.873  0.274
N  0.933  0.157  0.712
N  0.355  0.699  0.426
N  0.729  0.020  0.430
N  0.556  0.127  0.726
N  0.433  0.343  0.712
N  0.056  0.373  0.726
N  0.414  0.187  0.520
N  0.556  0.627  0.774
N  0.771  0.395  0.868
N  0.645  0.801  0.926
N  0.944  0.127  0.226
N  0.567  0.657  0.288
N  0.433  0.843  0.788
N  0.771  0.520  0.570

---

# 6
Here is ErMg3 after structural relaxation from the Materials Project. Energies are from PBE-GGA.

Calculated values
The energy is -9.6 eV per cell. For the formation energy from the elements, the calculation gives -56 meV per atom. The value obtained for the calculated volume is 24.33 Å³ per atom.

Unit cell a=5.163 b=5.163 c=5.163 alpha=60.00 beta=60.00 gamma=60.00
Fractional coordinates of all 4 atoms:
Er  0.000  0.000  0.000
Mg  0.250  0.250  0.250
Mg  0.500  0.500  0.500
Mg  0.750  0.750  0.750

---

# 7
Here is ThAl10Fe2 after structural relaxation from the Materials Project. Energies are from PBE-GGA.

Calculated values
The energy is -132.7 eV per cell. For the formation energy from the elements, the calculation gives -349 meV per atom. The value obtained for the calculated volume is 15.92 Å³ per atom.

Unit cell a=6.804 b=6.804 c=9.020 alpha=90.00 beta=90.00 gamma=97.61
Fractional coordinates of all 26 atoms:
Th  0.875  0.125  0.750
Th  0.125  0.875  0.250
Al  0.519  0.777  0.750
Al  0.481  0.223  0.250
Al  0.590  0.865  0.250
Al  0.771  0.771  0.000
Al  0.161  0.839  0.599
Al  0.229  0.229  0.000
Al  0.135  0.410  0.250
Al  0.623  0.377  0.950
Al  0.839  0.161  0.099
Al  0.377  0.623  0.450
Al  0.161  0.839  0.901
Al  0.223  0.481  0.750
Al  0.377  0.623  0.050
Al  0.839  0.161  0.401
Al  0.623  0.377  0.550
Al  0.410  0.135  0.750
Al  0.777  0.519  0.250
Al  0.771  0.771  0.500
Al  0.229  0.229  0.500
Al  0.865  0.590  0.750
Fe  0.000  0.500  0.500
Fe  0.000  0.500  0.000
Fe  0.500  0.000  0.000
Fe  0.500  0.000  0.500

---

# 8
Here is Rb2MnTe2 after structural relaxation from the Materials Project. Energies are from PBE-GGA.

Calculated values
The energy is -42.4 eV per cell. For the formation energy from the elements, the calculation gives -925 meV per atom. The value obtained for the calculated volume is 41.07 Å³ per atom.

Unit cell a=9.097 b=9.097 c=9.097 alpha=133.67 beta=129.66 gamma=70.81
Fractional coordinates of all 10 atoms:
Rb  0.468  0.144  0.324
Rb  0.820  0.644  0.176
Rb  0.532  0.856  0.676
Rb  0.180  0.356  0.824
Mn  0.000  0.750  0.750
Mn  0.000  0.250  0.250
Te  0.085  0.897  0.189
Te  0.915  0.103  0.811
Te  0.292  0.603  0.689
Te  0.708  0.397  0.311

---

# 9
Here is K2TlHgF6 after structural relaxation from the Materials Project. Energies are from PBE-GGA.

Calculated values
The value obtained for the total moment is 0.0 μB/cell. The energy is -36.6 eV per cell. For the formation energy from the elements, the calculation gives -2301 meV per atom. The value obtained for the calculated volume is 20.08 Å³ per atom.

Unit cell a=6.573 b=6.573 c=6.573 alpha=60.00 beta=60.00 gamma=60.00
Fractional coordinates of all 10 atoms:
K  0.750  0.750  0.750
K  0.250  0.250  0.250
Tl  0.000  0.000  0.000
Hg  0.500  0.500  0.500
F  0.750  0.250  0.250
F  0.250  0.250  0.750
F  0.250  0.750  0.750
F  0.250  0.750  0.250
F  0.750  0.250  0.750
F  0.750  0.750  0.250

---

# 10
Here is Ca2TiAlSi2O9F after structural relaxation from the Materials Project. Energies are from PBE-GGA.

Calculated values
The value obtained for the total moment is 0.0 μB/cell. The energy above the most stable polymorph in this dataset is 0 meV per atom. The energy is -122.5 eV per cell. For the formation energy from the elements, the calculation gives -3515 meV per atom. The value obtained for the calculated volume is 11.60 Å³ per atom.

Unit cell a=5.425 b=5.470 c=7.149 alpha=104.89 beta=104.39 gamma=105.62
Fractional coordinates of all 16 atoms:
Ca  0.171  0.840  0.756
Ca  0.829  0.161  0.244
Ti  0.506  0.493  0.478
Al  0.501  0.499  0.004
Si  0.178  0.810  0.245
Si  0.820  0.191  0.757
O  0.606  0.197  0.885
O  0.188  0.610  0.385
O  0.390  0.804  0.115
O  0.814  0.393  0.619
O  0.253  0.120  0.408
O  0.130  0.259  0.908
O  0.744  0.879  0.599
O  0.870  0.741  0.090
O  0.570  0.429  0.247
F  0.430  0.572  0.762

---

# 11
Here is Ba3NaSm3Si6O20 after structural relaxation from the Materials Project. Energies are from PBE-GGA.

Calculated values
The value obtained for the total moment is 0.2 μB/cell. The energy is -507.8 eV per cell. For the formation energy from the elements, the calculation gives -3482 meV per atom. The value obtained for the calculated volume is 15.43 Å³ per atom.

Unit cell a=5.624 b=12.447 c=14.931 alpha=90.00 beta=90.00 gamma=103.06
Fractional coordinates of all 66 atoms:
Ba  0.849  0.836  0.250
Ba  0.013  0.164  0.750
Ba  0.174  0.486  0.887
Ba  0.688  0.514  0.113
Ba  0.174  0.486  0.613
Ba  0.688  0.514  0.387
Na  0.245  0.777  0.750
Na  0.468  0.223  0.250
Sm  0.393  0.779  0.031
Sm  0.614  0.221  0.969
Sm  0.393  0.779  0.469
Sm  0.614  0.221  0.531
Sm  0.005  0.000  0.000
Sm  0.005  0.000  0.500
Si  0.282  0.639  0.250
Si  0.643  0.361  0.750
Si  0.812  0.697  0.943
Si  0.115  0.303  0.057
Si  0.812  0.697  0.557
Si  0.115  0.303  0.443
Si  0.443  0.001  0.860
Si  0.441  0.999  0.140
Si  0.443  0.001  0.640
Si  0.441  0.999  0.360
Si  0.715  0.620  0.750
Si  0.094  0.380  0.250
O  0.789  0.822  0.967
O  0.968  0.178  0.033
O  0.789  0.822  0.533
O  0.968  0.178  0.467
O  0.542  0.622  0.968
O  0.920  0.378  0.032
O  0.542  0.622  0.532
O  0.920  0.378  0.468
O  0.433  0.974  0.750
O  0.459  0.026  0.250
O  0.876  0.685  0.835
O  0.191  0.315  0.165
O  0.876  0.685  0.665
O  0.191  0.315  0.335
O  0.289  0.503  0.250
O  0.786  0.497  0.750
O  0.724  0.054  0.892
O  0.670  0.946  0.108
O  0.724  0.054  0.608
O  0.670  0.946  0.392
O  0.025  0.654  0.997
O  0.370  0.346  0.003
O  0.025  0.654  0.503
O  0.370  0.346  0.497
O  0.446  0.689  0.162
O  0.757  0.311  0.838
O  0.446  0.689  0.338
O  0.757  0.311  0.662
O  0.192  0.904  0.117
O  0.288  0.096  0.883
O  0.192  0.904  0.383
O  0.288  0.096  0.617
O  0.998  0.646  0.250
O  0.352  0.354  0.750
O  0.305  0.891  0.914
O  0.414  0.109  0.086
O  0.305  0.891  0.586
O  0.414  0.109  0.414
O  0.430  0.618  0.750
O  0.811  0.382  0.250

---

# 12
Here is LaTa2NO5 after structural relaxation from the Materials Project. Energies are from PBE-GGA.

Calculated values
The value obtained for the total moment is 0.0 μB/cell. The energy above the most stable polymorph in this dataset is 8 meV per atom. The energy is -346.9 eV per cell. For the formation energy from the elements, the calculation gives -3158 meV per atom. The value obtained for the calculated volume is 13.44 Å³ per atom.

Unit cell a=5.529 b=7.741 c=11.306 alpha=89.97 beta=90.00 gamma=89.98
Fractional coordinates of all 36 atoms:
La  0.553  0.752  0.961
La  0.045  0.248  0.543
La  0.952  0.754  0.462
La  0.448  0.248  0.037
Ta  0.037  0.998  0.858
Ta  0.039  0.504  0.857
Ta  0.542  0.003  0.643
Ta  0.539  0.496  0.643
Ta  0.447  0.001  0.354
Ta  0.457  0.496  0.357
Ta  0.965  0.493  0.142
Ta  0.965  0.996  0.149
N  0.954  0.750  0.854
N  0.452  0.251  0.643
N  0.130  0.941  0.293
N  0.044  0.252  0.145
O  0.766  0.037  0.972
O  0.772  0.465  0.977
O  0.153  0.251  0.878
O  0.372  0.556  0.789
O  0.372  0.945  0.789
O  0.873  0.057  0.710
O  0.872  0.444  0.710
O  0.650  0.750  0.621
O  0.272  0.537  0.522
O  0.272  0.963  0.524
O  0.729  0.033  0.479
O  0.729  0.467  0.475
O  0.358  0.252  0.378
O  0.550  0.749  0.357
O  0.135  0.559  0.289
O  0.626  0.054  0.211
O  0.628  0.449  0.213
O  0.844  0.751  0.121
O  0.230  0.536  0.023
O  0.227  0.965  0.023

---

Repeat the ninth record exactly.
Here is K2TlHgF6 after structural relaxation from the Materials Project. Energies are from PBE-GGA.

Calculated values
The value obtained for the total moment is 0.0 μB/cell. The energy is -36.6 eV per cell. For the formation energy from the elements, the calculation gives -2301 meV per atom. The value obtained for the calculated volume is 20.08 Å³ per atom.

Unit cell a=6.573 b=6.573 c=6.573 alpha=60.00 beta=60.00 gamma=60.00
Fractional coordinates of all 10 atoms:
K  0.750  0.750  0.750
K  0.250  0.250  0.250
Tl  0.000  0.000  0.000
Hg  0.500  0.500  0.500
F  0.750  0.250  0.250
F  0.250  0.250  0.750
F  0.250  0.750  0.750
F  0.250  0.750  0.250
F  0.750  0.250  0.750
F  0.750  0.750  0.250

---

- Among the records above, which one has the lowest calculated volume?
  MgAl4H12O12

---

- Which formula does entry 4 have?
  MgAl4H12O12